Entry 1:
A plane-wave DFT calculation with GGA-PBE was carried out for a geometry-optimized NaLaP2H4CO7 structure.

Geometry as POSCAR:
```
NaLaP2H4CO7
1.0
7.0726 0.0000 0.0000
0.0000 15.3265 0.0000
-0.6403 0.0000 6.9322
Na La P H C O
4 4 8 16 4 28
Direct
0.2082 0.0365 0.1368 Na
0.2082 0.4635 0.6368 Na
0.7918 0.5365 0.3632 Na
0.7918 0.9635 0.8632 Na
0.3444 0.6027 0.0723 La
0.3444 0.8973 0.5723 La
0.6556 0.1027 0.4277 La
0.6556 0.3973 0.9277 La
0.1712 0.0904 0.6362 P
0.1712 0.4096 0.1362 P
0.4780 0.6571 0.5977 P
0.4780 0.8429 0.0977 P
0.5220 0.1571 0.9023 P
0.5220 0.3429 0.4023 P
0.8288 0.5904 0.8638 P
0.8288 0.9096 0.3638 P
0.0314 0.7018 0.2919 H
0.0314 0.7982 0.7919 H
0.0998 0.6117 0.3764 H
0.0998 0.8883 0.8764 H
0.1923 0.2028 0.8771 H
0.1923 0.2972 0.3771 H
0.3117 0.2325 0.6742 H
0.3117 0.2675 0.1742 H
0.6883 0.7325 0.8258 H
0.6883 0.7675 0.3258 H
0.8077 0.7028 0.6229 H
0.8077 0.7972 0.1229 H
0.9002 0.1117 0.1236 H
0.9002 0.3883 0.6236 H
0.9686 0.2018 0.2081 H
0.9686 0.2982 0.7081 H
0.2891 0.1785 0.7740 C
0.2891 0.3215 0.2740 C
0.7109 0.6785 0.7260 C
0.7109 0.8215 0.2260 C
0.0081 0.6584 0.3903 O
0.0081 0.8416 0.8903 O
0.0159 0.6260 0.9605 O
0.0159 0.8740 0.4605 O
0.1477 0.0114 0.7718 O
0.1477 0.4886 0.2718 O
0.3086 0.0609 0.4821 O
0.3086 0.4391 0.9821 O
0.3672 0.5969 0.7259 O
0.3672 0.9031 0.2259 O
0.3875 0.7479 0.5696 O
0.3875 0.7521 0.0696 O
0.4963 0.1132 0.0983 O
0.4963 0.3868 0.5983 O
0.5037 0.6132 0.4017 O
0.5037 0.8868 0.9017 O
0.6125 0.2479 0.9304 O
0.6125 0.2521 0.4304 O
0.6328 0.0969 0.7741 O
0.6328 0.4031 0.2741 O
0.6914 0.5609 0.0179 O
0.6914 0.9391 0.5179 O
0.8523 0.5114 0.7282 O
0.8523 0.9886 0.2282 O
0.9841 0.1260 0.5395 O
0.9841 0.3740 0.0395 O
0.9919 0.1584 0.1097 O
0.9919 0.3416 0.6097 O
```

Entry 2:
A plane-wave DFT calculation with GGA-PBE was carried out for a geometry-optimized LaH6CO7 structure.

Geometry as POSCAR:
```
LaH6CO7
1.0
5.2682 0.0000 0.0000
0.0000 9.0096 0.0000
-0.8345 0.0000 15.2294
La H C O
4 24 4 28
Direct
0.0040 0.0034 0.2713 La
0.0040 0.4966 0.7713 La
0.9960 0.5034 0.2287 La
0.9960 0.9966 0.7287 La
0.1550 0.0222 0.9274 H
0.1550 0.4778 0.4274 H
0.1885 0.1668 0.0965 H
0.1885 0.3332 0.5965 H
0.2827 0.1639 0.8928 H
0.2827 0.3361 0.3928 H
0.3650 0.0236 0.0959 H
0.3650 0.4764 0.5959 H
0.4370 0.0698 0.6346 H
0.4370 0.4302 0.1346 H
0.4852 0.6436 0.7767 H
0.4852 0.8564 0.2767 H
0.5148 0.1436 0.7233 H
0.5148 0.3564 0.2233 H
0.5630 0.5698 0.8654 H
0.5630 0.9302 0.3654 H
0.6350 0.5236 0.4041 H
0.6350 0.9764 0.9041 H
0.7173 0.6639 0.6072 H
0.7173 0.8361 0.1072 H
0.8115 0.6668 0.4035 H
0.8115 0.8332 0.9035 H
0.8450 0.5222 0.5726 H
0.8450 0.9778 0.0726 H
0.0847 0.0713 0.5005 C
0.0847 0.4287 0.0005 C
0.9153 0.5713 0.9995 C
0.9153 0.9287 0.4995 C
0.1318 0.2466 0.7566 O
0.1318 0.2534 0.2566 O
0.1355 0.1288 0.5762 O
0.1355 0.3712 0.0762 O
0.1507 0.7476 0.7354 O
0.1507 0.7524 0.2354 O
0.1580 0.1175 0.4284 O
0.1580 0.3825 0.9284 O
0.1906 0.0580 0.1059 O
0.1906 0.4420 0.6059 O
0.3015 0.0549 0.8951 O
0.3015 0.4451 0.3951 O
0.4984 0.0454 0.6953 O
0.4984 0.4546 0.1953 O
0.5016 0.5454 0.8047 O
0.5016 0.9546 0.3047 O
0.6985 0.5549 0.6049 O
0.6985 0.9451 0.1049 O
0.8094 0.5580 0.3941 O
0.8094 0.9420 0.8941 O
0.8420 0.6175 0.0716 O
0.8420 0.8825 0.5716 O
0.8493 0.2476 0.7646 O
0.8493 0.2524 0.2646 O
0.8645 0.6288 0.9238 O
0.8645 0.8712 0.4238 O
0.8682 0.7466 0.7434 O
0.8682 0.7534 0.2434 O
```

Entry 3:
A plane-wave DFT calculation with GGA-PBE was carried out for a geometry-optimized LaP2H2CO6 structure.

Geometry as POSCAR:
```
LaP2H2CO6
1.0
4.2755 -7.1967 0.0000
4.2755 7.1967 0.0000
-1.9349 0.0000 5.0690
La P H C O
2 4 4 2 12
Direct
0.2281 0.7719 0.0000 La
0.7719 0.2281 0.0000 La
0.1446 0.3665 0.6263 P
0.3665 0.1446 0.6263 P
0.6335 0.8554 0.3737 P
0.8554 0.6335 0.3737 P
0.1016 0.1016 0.7678 H
0.3181 0.3181 0.9705 H
0.6819 0.6819 0.0295 H
0.8984 0.8984 0.2322 H
0.2300 0.2300 0.7647 C
0.7700 0.7700 0.2353 C
0.0234 0.3949 0.7968 O
0.0313 0.2653 0.3355 O
0.2653 0.0313 0.3355 O
0.3156 0.5761 0.6910 O
0.3949 0.0234 0.7968 O
0.4239 0.6844 0.3090 O
0.5761 0.3156 0.6910 O
0.6051 0.9766 0.2032 O
0.6844 0.4239 0.3090 O
0.7347 0.9687 0.6645 O
0.9687 0.7347 0.6645 O
0.9766 0.6051 0.2032 O
```

| no. | formation enthalpy at 0 K (eV/atom) |
| --- | --- |
| 1 | -2.121 |
| 2 | -1.658 |
| 3 | -2.172 |